Arrangement a

A geometry-optimized Li5FeSi2O8 structure. Source: the Materials Project database, functional PBE+U.

## Properties
Calculated volume: 10.74 Å³ per atom

Cell and atoms, written as CIF:
```
data_Li5FeSi2O8
_chemical_formula_sum 'Li40 Fe8 Si16 O64'
_cell_length_a 9.849
_cell_length_b 14.224
_cell_length_c 9.813
_cell_angle_alpha 90.00
_cell_angle_beta 90.00
_cell_angle_gamma 90.00
_symmetry_space_group_name_H-M 'P n m a'
_symmetry_Int_Tables_number 62
loop_
_symmetry_equiv_pos_as_xyz
'x,y,z'
'-x,-y,-z'
'-x+1/2,-y,z+1/2'
'x+1/2,y,-z+1/2'
'x+1/2,-y+1/2,-z+1/2'
'-x+1/2,y+1/2,z+1/2'
'-x,y+1/2,-z'
'x,-y+1/2,z'
loop_
_atom_site_label
_atom_site_type_symbol
_atom_site_fract_x
_atom_site_fract_y
_atom_site_fract_z
_atom_site_occupancy
Li1 Li 0.005 0.109 0.022 1
Li2 Li 0.025 0.507 0.224 1
Li3 Li 0.189 0.750 0.059 1
Li4 Li 0.218 0.635 0.752 1
Li5 Li 0.229 0.620 0.247 1
Li6 Li 0.243 0.250 0.981 1
Fe1 Fe 0.007 0.131 0.507 1
Si1 Si 0.016 0.250 0.223 1
Si2 Si 0.022 0.250 0.775 1
Si3 Si 0.241 0.506 0.998 1
O1 O 0.012 0.655 0.677 1
O2 O 0.023 0.750 0.398 1
O3 O 0.047 0.654 0.165 1
O4 O 0.106 0.750 0.887 1
O5 O 0.131 0.531 0.881 1
O6 O 0.132 0.553 0.419 1
O7 O 0.168 0.250 0.161 1
O8 O 0.176 0.051 0.124 1
O9 O 0.185 0.104 0.560 1
O10 O 0.187 0.250 0.791 1
```

=====

Arrangement b

A geometry-optimized Li5FeSi2O8 structure. Source: the Materials Project database, functional PBE+U.

## Properties
Largest piezoelectric modulus: 0.17 C/m2
Calculated volume: 10.83 Å³ per atom

Cell and atoms, written as CIF:
```
data_Li5FeSi2O8
_chemical_formula_sum 'Li10 Fe2 Si4 O16'
_cell_length_a 7.360
_cell_length_b 7.479
_cell_length_c 6.297
_cell_angle_alpha 90.00
_cell_angle_beta 90.33
_cell_angle_gamma 90.00
_symmetry_space_group_name_H-M 'C 1 2 1'
_symmetry_Int_Tables_number 5
loop_
_symmetry_equiv_pos_as_xyz
'x,y,z'
'-x,y,-z'
'x+1/2,y+1/2,z'
'-x+1/2,y+1/2,-z'
loop_
_atom_site_label
_atom_site_type_symbol
_atom_site_fract_x
_atom_site_fract_y
_atom_site_fract_z
_atom_site_occupancy
Li1 Li 0.000 0.000 0.000 1
Li2 Li 0.000 0.016 0.500 1
Li3 Li 0.000 0.648 0.000 1
Li4 Li 0.185 0.306 0.763 1
Fe1 Fe 0.000 0.642 0.500 1
Si1 Si 0.175 0.312 0.243 1
O1 O 0.030 0.149 0.250 1
O2 O 0.044 0.499 0.260 1
O3 O 0.195 0.810 0.535 1
O4 O 0.198 0.820 0.965 1
```

=====

Which is most stable, and by how much? arrangement b, by 81 meV per atom.

=====

Arrangement a

A geometry-optimized Li2FeSiO5 structure. Source: the Materials Project database, functional PBE+U.

## Properties
Calculated volume: 10.24 Å³ per atom

Cell and atoms, written as CIF:
```
data_Li2FeSiO5
_chemical_formula_sum 'Li16 Fe8 Si8 O40'
_cell_length_a 12.977
_cell_length_b 5.068
_cell_length_c 12.824
_cell_angle_alpha 90.00
_cell_angle_beta 119.08
_cell_angle_gamma 90.00
_symmetry_space_group_name_H-M 'P 1 21/c 1'
_symmetry_Int_Tables_number 14
loop_
_symmetry_equiv_pos_as_xyz
'x,y,z'
'-x,-y,-z'
'-x,y+1/2,-z+1/2'
'x,-y+1/2,z+1/2'
loop_
_atom_site_label
_atom_site_type_symbol
_atom_site_fract_x
_atom_site_fract_y
_atom_site_fract_z
_atom_site_occupancy
Li1 Li 0.081 0.227 0.418 1
Li2 Li 0.159 0.724 0.337 1
Li3 Li 0.340 0.210 0.678 1
Li4 Li 0.415 0.732 0.342 1
Fe1 Fe 0.067 0.228 0.685 1
Fe2 Fe 0.435 0.730 0.622 1
Si1 Si 0.161 0.719 0.587 1
Si2 Si 0.339 0.226 0.430 1
O1 O 0.016 0.516 0.725 1
O2 O 0.097 0.675 0.949 1
O3 O 0.108 0.620 0.161 1
O4 O 0.144 0.100 0.097 1
O5 O 0.198 0.200 0.851 1
O6 O 0.301 0.693 0.150 1
O7 O 0.360 0.592 0.955 1
O8 O 0.379 0.115 0.056 1
O9 O 0.408 0.154 0.862 1
O10 O 0.495 0.518 0.784 1
```

=====

Arrangement b

A geometry-optimized Li2FeSiO5 structure. Source: the Materials Project database, functional PBE+U.

## Properties
Calculated volume: 10.50 Å³ per atom

Cell and atoms, written as CIF:
```
data_Li2FeSiO5
_chemical_formula_sum 'Li8 Fe4 Si4 O20'
_cell_length_a 9.074
_cell_length_b 4.550
_cell_length_c 9.155
_cell_angle_alpha 90.00
_cell_angle_beta 90.00
_cell_angle_gamma 90.00
_symmetry_space_group_name_H-M 'P m c 21'
_symmetry_Int_Tables_number 26
loop_
_symmetry_equiv_pos_as_xyz
'x,y,z'
'-x,-y,z+1/2'
'-x,y,z'
'x,-y,z+1/2'
loop_
_atom_site_label
_atom_site_type_symbol
_atom_site_fract_x
_atom_site_fract_y
_atom_site_fract_z
_atom_site_occupancy
Li1 Li 0.000 0.013 0.000 1
Li2 Li 0.262 0.003 0.256 1
Li3 Li 0.500 0.392 0.757 1
Fe1 Fe 0.000 0.400 0.259 1
Fe2 Fe 0.500 0.034 0.477 1
Si1 Si 0.249 0.499 0.508 1
O1 O 0.000 0.215 0.764 1
O2 O 0.146 0.289 0.403 1
O3 O 0.146 0.293 0.115 1
O4 O 0.347 0.262 0.917 1
O5 O 0.351 0.262 0.597 1
O6 O 0.500 0.188 0.293 1
```

=====

Arrangement c

A geometry-optimized Li2FeSiO5 structure. Source: the Materials Project database, functional PBE+U.

## Properties
Calculated volume: 10.32 Å³ per atom

Cell and atoms, written as CIF:
```
data_Li2FeSiO5
_chemical_formula_sum 'Li4 Fe2 Si2 O10'
_cell_length_a 6.430
_cell_length_b 6.430
_cell_length_c 4.494
_cell_angle_alpha 90.00
_cell_angle_beta 90.00
_cell_angle_gamma 90.00
_symmetry_space_group_name_H-M 'P 4/n m m'
_symmetry_Int_Tables_number 129
loop_
_symmetry_equiv_pos_as_xyz
'x,y,z'
'-x,-y,-z'
'-y+1/2,x,z'
'y+1/2,-x,-z'
'-x+1/2,-y+1/2,z'
'x+1/2,y+1/2,-z'
'y,-x+1/2,z'
'-y,x+1/2,-z'
'x+1/2,-y,-z'
'-x+1/2,y,z'
'-y,-x,-z'
'y,x,z'
'-x,y+1/2,-z'
'x,-y+1/2,z'
'y+1/2,x+1/2,-z'
'-y+1/2,-x+1/2,z'
loop_
_atom_site_label
_atom_site_type_symbol
_atom_site_fract_x
_atom_site_fract_y
_atom_site_fract_z
_atom_site_occupancy
Li1 Li 0.000 0.000 0.000 1
Fe1 Fe 0.250 0.250 0.393 1
Si1 Si 0.250 0.750 0.500 1
O1 O 0.047 0.750 0.722 1
O2 O 0.250 0.250 0.786 1
```

=====

Arrangement d

A geometry-optimized Li2FeSiO5 structure. Source: the Materials Project database, functional PBE+U.

## Properties
Calculated volume: 10.29 Å³ per atom

Cell and atoms, written as CIF:
```
data_Li2FeSiO5
_chemical_formula_sum 'Li8 Fe4 Si4 O20'
_cell_length_a 6.458
_cell_length_b 6.458
_cell_length_c 8.879
_cell_angle_alpha 90.00
_cell_angle_beta 90.00
_cell_angle_gamma 90.00
_symmetry_space_group_name_H-M 'P 4 m m'
_symmetry_Int_Tables_number 99
loop_
_symmetry_equiv_pos_as_xyz
'x,y,z'
'-y,x,z'
'-x,-y,z'
'y,-x,z'
'-x,y,z'
'y,x,z'
'x,-y,z'
'-y,-x,z'
loop_
_atom_site_label
_atom_site_type_symbol
_atom_site_fract_x
_atom_site_fract_y
_atom_site_fract_z
_atom_site_occupancy
Li1 Li 0.249 0.249 0.000 1
Li2 Li 0.249 0.249 0.500 1
Fe1 Fe 0.000 0.000 0.281 1
Fe2 Fe 0.000 0.000 0.827 1
Fe3 Fe 0.500 0.500 0.171 1
Fe4 Fe 0.500 0.500 0.717 1
Si1 Si 0.000 0.500 0.254 1
Si2 Si 0.000 0.500 0.745 1
O1 O 0.000 0.000 0.073 1
O2 O 0.000 0.000 0.633 1
O3 O 0.000 0.293 0.360 1
O4 O 0.000 0.301 0.861 1
O5 O 0.199 0.500 0.138 1
O6 O 0.207 0.500 0.638 1
O7 O 0.500 0.500 0.366 1
O8 O 0.500 0.500 0.925 1
```

=====

Which is most stable, and by how much? arrangement d, by 6 meV per atom.

=====

Arrangement a

A geometry-optimized Li2FeSi3O8 structure. Source: the Materials Project database, functional PBE+U.

## Properties
Calculated volume: 12.65 Å³ per atom

Cell and atoms, written as CIF:
```
data_Li2FeSi3O8
_chemical_formula_sum 'Li8 Fe4 Si12 O32'
_cell_length_a 7.813
_cell_length_b 8.313
_cell_length_c 10.925
_cell_angle_alpha 90.00
_cell_angle_beta 93.48
_cell_angle_gamma 90.00
_symmetry_space_group_name_H-M 'P 1 21 1'
_symmetry_Int_Tables_number 4
loop_
_symmetry_equiv_pos_as_xyz
'x,y,z'
'-x,y+1/2,-z'
loop_
_atom_site_label
_atom_site_type_symbol
_atom_site_fract_x
_atom_site_fract_y
_atom_site_fract_z
_atom_site_occupancy
Li1 Li 0.034 0.000 0.296 1
Li2 Li 0.067 0.507 0.003 1
Li3 Li 0.432 0.006 0.496 1
Li4 Li 0.466 0.500 0.204 1
Fe1 Fe 0.203 0.324 0.323 1
Fe2 Fe 0.297 0.824 0.177 1
Si1 Si 0.150 0.143 0.584 1
Si2 Si 0.227 0.795 0.683 1
Si3 Si 0.245 0.664 0.431 1
Si4 Si 0.255 0.164 0.069 1
Si5 Si 0.272 0.295 0.818 1
Si6 Si 0.349 0.643 0.916 1
O1 O 0.036 0.735 0.698 1
O2 O 0.049 0.592 0.448 1
O3 O 0.144 0.019 0.126 1
O4 O 0.146 0.285 0.690 1
O5 O 0.175 0.195 0.925 1
O6 O 0.238 0.685 0.030 1
O7 O 0.242 0.834 0.357 1
O8 O 0.250 0.486 0.853 1
O9 O 0.250 0.986 0.648 1
O10 O 0.259 0.334 0.143 1
O11 O 0.262 0.185 0.470 1
O12 O 0.325 0.695 0.575 1
O13 O 0.353 0.785 0.810 1
O14 O 0.357 0.519 0.375 1
O15 O 0.451 0.092 0.052 1
O16 O 0.463 0.235 0.802 1
```

=====

Arrangement b

A geometry-optimized Li2FeSi3O8 structure. Source: the Materials Project database, functional PBE+U.

## Properties
Calculated volume: 12.66 Å³ per atom

Cell and atoms, written as CIF:
```
data_Li2FeSi3O8
_chemical_formula_sum 'Li4 Fe2 Si6 O16'
_cell_length_a 5.096
_cell_length_b 10.042
_cell_length_c 6.928
_cell_angle_alpha 90.00
_cell_angle_beta 91.01
_cell_angle_gamma 90.00
_symmetry_space_group_name_H-M 'P 1 21 1'
_symmetry_Int_Tables_number 4
loop_
_symmetry_equiv_pos_as_xyz
'x,y,z'
'-x,y+1/2,-z'
loop_
_atom_site_label
_atom_site_type_symbol
_atom_site_fract_x
_atom_site_fract_y
_atom_site_fract_z
_atom_site_occupancy
Li1 Li 0.059 0.000 0.251 1
Li2 Li 0.409 0.291 0.261 1
Fe1 Fe 0.091 0.968 0.747 1
Si1 Si 0.010 0.725 0.026 1
Si2 Si 0.404 0.541 0.471 1
Si3 Si 0.477 0.303 0.725 1
O1 O 0.037 0.067 0.991 1
O2 O 0.050 0.288 0.183 1
O3 O 0.093 0.527 0.500 1
O4 O 0.176 0.296 0.803 1
O5 O 0.314 0.764 0.103 1
O6 O 0.453 0.959 0.338 1
O7 O 0.484 0.971 0.719 1
O8 O 0.497 0.704 0.470 1
```

=====

Which is most stable, and by how much? arrangement a, by 17 meV per atom.